(1)
# V8O

A geometry-optimized V8O structure (PBE with a Hubbard U, the Materials Project database).

a b c (Å): 8.8840 8.8840 3.0262
angles (deg): 90.00 90.00 90.00
Last column: nearest neighbours and their distance in Å.
Positions (direct):
V  0.8449  0.8449  0.0000  1 O 1.95
V  0.8833  0.3709  0.0000  8 V 2.54-2.70
V  0.6551  0.3449  0.5000  1 O 1.95
V  0.6167  0.8709  0.5000  8 V 2.54-2.70
V  0.6193  0.6193  0.0000  2 O 2.13
V  0.3709  0.8833  0.0000  8 V 2.54-2.70
V  0.1167  0.6291  0.0000  8 V 2.54-2.70
V  0.1551  0.1551  0.0000  1 O 1.95
V  0.3449  0.6551  0.5000  1 O 1.95
V  0.8709  0.6167  0.5000  8 V 2.54-2.70
V  0.1291  0.3833  0.5000  8 V 2.54-2.70
V  0.3833  0.1291  0.5000  8 V 2.54-2.70
V  0.3807  0.3807  0.0000  2 O 2.13
V  0.1193  0.8807  0.5000  2 O 2.13
V  0.8807  0.1193  0.5000  2 O 2.13
V  0.6291  0.1167  0.0000  8 V 2.54-2.70
O  0.0000  0.0000  0.0000  6 V 1.95-2.13
O  0.5000  0.5000  0.5000  6 V 1.95-2.13

VASP energy   -0.450 Ry per atom
Volume   238.85 Å³ per cell
E_form   0.91 eV/atom
SG   P4_2/mnm (136)



(2)
# VO2

A geometry-optimized VO2 structure (PBE with a Hubbard U, the Materials Project database).

a b c (Å): 5.2103 5.4000 9.1911
angles (deg): 90.00 90.00 90.00
Last column: nearest neighbours and their distance in Å.
Positions (direct):
O  0.5327  0.8808  0.2734  3 V 1.93-1.99
O  0.3103  0.3589  0.5057  2 V 1.81-2.01
O  0.0327  0.1192  0.2266  3 V 1.93-1.99
O  0.8103  0.6411  0.9943  2 V 1.81-2.01
O  0.3103  0.8589  0.9943  2 V 1.81-2.01
O  0.5327  0.3808  0.2266  3 V 1.93-1.99
O  0.9673  0.8808  0.7734  3 V 1.93-1.99
O  0.4673  0.1192  0.7266  3 V 1.93-1.99
O  0.9673  0.3808  0.7266  3 V 1.93-1.99
O  0.8103  0.1411  0.5057  2 V 1.81-2.01
O  0.4673  0.6192  0.7734  3 V 1.93-1.99
O  0.1897  0.8589  0.4943  2 V 1.81-2.01
O  0.6897  0.1411  0.0057  2 V 1.81-2.01
O  0.6897  0.6411  0.4943  2 V 1.81-2.01
O  0.0327  0.6192  0.2734  3 V 1.93-1.99
O  0.1897  0.3589  0.0057  2 V 1.81-2.01
V  0.8589  0.9016  0.3713  5 O 1.81-2.01
V  0.8589  0.4016  0.1287  5 O 1.81-2.01
V  0.3589  0.5984  0.3713  5 O 1.81-2.01
V  0.1411  0.5984  0.8713  5 O 1.81-2.01
V  0.6411  0.9016  0.8713  5 O 1.81-2.01
V  0.3589  0.0984  0.1287  5 O 1.81-2.01
V  0.6411  0.4016  0.6287  5 O 1.81-2.01
V  0.1411  0.0984  0.6287  5 O 1.81-2.01

VASP energy   -0.571 Ry per atom
Volume   258.60 Å³ per cell
E_form   -2.46 eV/atom
SG   Pbca (61)



(3)
# V2O5

A geometry-optimized V2O5 structure (PBE with a Hubbard U, the Materials Project database).

a b c (Å): 13.0511 11.6132 12.6094
angles (deg): 87.46 83.09 84.59
Last column: nearest neighbours and their distance in Å.
Positions (direct):
O  0.1116  0.9911  0.3880  1 V 1.63
O  0.1547  0.2424  0.9798  1 V 1.62
O  0.0334  0.5894  0.3897  2 V 1.74-1.87
O  0.0295  0.3904  0.5842  1 V 1.61
O  0.8445  0.6545  0.4855  2 V 1.75-1.92
O  0.7503  0.7536  0.0949  2 V 1.78-1.84
O  0.3432  0.2689  0.2097  2 V 1.76-1.92
O  0.8446  0.9264  0.1865  2 V 1.81-1.82
O  0.8953  0.7198  0.2778  1 V 1.69
O  0.3250  0.7548  0.1119  2 V 1.76-1.90
O  0.6334  0.3661  0.3856  1 V 1.66
O  0.1543  0.3864  0.1573  1 V 1.80
O  0.1578  0.6214  0.1589  1 V 1.63
O  0.6081  0.3996  0.7707  2 V 1.82
O  0.7228  0.1614  0.2657  2 V 1.75-1.92
O  0.5878  0.8802  0.6072  1 V 1.61
O  0.9458  0.5014  0.2291  3 V 1.92-2.01
O  0.2097  0.4227  0.3866  2 V 1.80-1.83
O  0.1586  0.2217  0.3202  1 V 1.71
O  0.9417  0.1576  0.4424  1 V 1.71
O  0.2859  0.9496  0.9746  2 V 1.78-1.84
O  0.7613  0.3307  0.9312  2 V 1.77-1.81
O  0.4953  0.9684  0.9572  2 V 1.75-1.95
O  0.7872  0.7913  0.6692  1 V 1.71
O  0.6659  0.0292  0.4513  1 V 1.70
O  0.4919  0.1289  0.5957  1 V 1.70
O  0.4134  0.4633  0.6792  2 V 1.78-1.86
O  0.0248  0.0821  0.2206  1 V 1.64
O  0.2814  0.8243  0.7962  1 V 1.61
O  0.6268  0.1883  0.8882  2 V 1.73-1.90
O  0.3669  0.7680  0.5425  1 O 1.23
O  0.7537  0.2495  0.5162  2 V 1.80-1.87
O  0.8583  0.6726  0.8939  1 V 1.62
O  0.8089  0.4745  0.3883  1 V 1.74
O  0.2536  0.6601  0.3326  2 V 1.76-1.88
O  0.6185  0.4875  0.5503  2 V 1.77-1.83
O  0.5360  0.1304  0.0883  1 V 1.62
O  0.6219  0.5497  0.9366  1 V 1.65
O  0.4871  0.7500  0.9726  1 V 1.72
O  0.9721  0.9031  0.0077  1 V 1.71
O  0.9143  0.1325  0.9005  2 V 1.74-1.90
O  0.9297  0.3050  0.0452  2 V 1.73-1.90
O  0.8378  0.5118  0.0611  1 V 1.70
O  0.9650  0.0175  0.6010  1 V 1.70
O  0.9528  0.3555  0.8090  2 V 1.76-1.90
O  0.7762  0.0249  0.6220  3 V 1.95-2.09
O  0.7340  0.3656  0.1890  2 V 1.77-1.86
O  0.3246  0.4764  0.2164  2 V 1.79-1.99
O  0.5511  0.6336  0.7166  1 V 1.61
O  0.6281  0.9439  0.2460  2 V 1.80-1.82
O  0.2436  0.4073  0.8410  1 V 1.69
O  0.5668  0.0506  0.7605  1 V 1.70
O  0.0581  0.8486  0.1997  1 V 1.59
O  0.4042  0.9413  0.1504  1 V 1.61
O  0.9727  0.6827  0.0762  3 V 1.89-2.06
O  0.8911  0.2382  0.6530  1 V 1.71
O  0.5356  0.1775  0.3313  1 V 1.72
O  0.1185  0.9969  0.8334  2 V 1.79-1.84
O  0.5231  0.3637  0.2055  2 V 1.79-1.82
O  0.9099  0.5616  0.6879  2 V 1.78-1.86
O  0.7016  0.9850  0.0180  2 V 1.79-1.82
O  0.3603  0.8712  0.5161  1 O 1.23
O  0.8077  0.4284  0.5966  2 V 1.75-1.88
O  0.4296  0.2624  0.7995  2 V 1.81-1.84
O  0.5330  0.3572  0.0028  1 V 1.68
O  0.0922  0.4802  0.9908  2 V 1.77-1.89
O  0.9150  0.2856  0.2552  1 V 1.62
O  0.9112  0.9201  0.7936  2 V 1.73-1.89
O  0.4530  0.6676  0.2568  1 V 1.61
O  0.1819  0.5947  0.5389  1 V 1.61
O  0.4405  0.5492  0.0844  2 V 1.80-1.98
O  0.3339  0.3641  0.0202  2 V 1.85-1.89
O  0.4199  0.5238  0.8750  2 V 1.77-1.87
O  0.9720  0.7877  0.5985  2 V 1.76-1.90
O  0.3431  0.0472  0.7629  2 V 1.79-1.82
V  0.2239  0.3355  0.2679  4 O 1.71-1.83
V  0.3940  0.8783  0.0416  1 O 1.61
V  0.8943  0.2803  0.9206  4 O 1.73-1.77
V  0.9266  0.4025  0.6682  1 O 1.61
V  0.4992  0.6024  0.9576  3 O 1.65-1.80
V  0.6286  0.3360  0.9020  4 O 1.68-1.82
V  0.8764  0.6888  0.6104  4 O 1.71-1.78
V  0.1936  0.3682  0.9950  2 O 1.62-1.77
V  0.8897  0.9161  0.6611  3 O 1.70-1.90
V  0.5485  0.5030  0.6789  2 O 1.61-1.77
V  0.4551  0.1251  0.7298  4 O 1.70-1.84
V  0.6344  0.0679  0.3271  4 O 1.70-1.82
V  0.5853  0.0636  0.9813  3 O 1.62-1.79
V  0.9564  0.8246  0.1490  1 O 1.59
V  0.3731  0.4105  0.8108  4 O 1.69-1.81
V  0.2564  0.9530  0.8405  2 O 1.61-1.78
V  0.6274  0.2982  0.2734  3 O 1.66-1.86
V  0.4131  0.3878  0.1281  5 O 1.79-1.98
V  0.0681  0.5449  0.1275  1 O 1.63
V  0.7249  0.8984  0.1380  4 O 1.78-1.82
V  0.8493  0.6526  0.0226  2 O 1.62-1.70
V  0.7362  0.4041  0.4922  4 O 1.74-1.83
V  0.8619  0.1474  0.5599  3 O 1.71-1.87
V  0.0574  0.1101  0.3376  2 O 1.63-1.64
V  0.1725  0.5723  0.4152  3 O 1.61-1.80
V  0.9880  0.9838  0.8911  4 O 1.71-1.90
V  0.3482  0.6438  0.2086  2 O 1.61-1.76
V  0.9092  0.5958  0.3513  2 O 1.69-1.74
V  0.8690  0.3804  0.1708  2 O 1.62-1.77
V  0.6211  0.0100  0.6047  1 O 1.61

VASP energy   -0.538 Ry per atom
Volume   1887.77 Å³ per cell
E_form   -1.79 eV/atom
SG   P1 (1)



(4)
# VO2

A geometry-optimized VO2 structure (PBE with a Hubbard U, the Materials Project database).

a b c (Å): 3.0375 4.4788 4.5295
angles (deg): 90.00 90.00 90.00
Last column: nearest neighbours and their distance in Å.
Positions (direct):
V  0.5000  0.0000  0.0000  6 O 1.91-1.99
V  0.0000  0.5000  0.5000  6 O 1.91-1.99
O  0.0000  0.2097  0.8083  3 V 1.91-1.99
O  0.5000  0.7097  0.6917  3 V 1.91-1.99
O  0.0000  0.7903  0.1917  3 V 1.91-1.99
O  0.5000  0.2903  0.3083  3 V 1.91-1.99

VASP energy   -0.572 Ry per atom
Volume   61.62 Å³ per cell
E_form   -2.48 eV/atom
SG   Pnnm (58)



(5)
# VO2

A geometry-optimized VO2 structure (PBE with a Hubbard U, the Materials Project database).

a b c (Å): 3.0579 7.2102 7.1960
angles (deg): 87.40 77.73 77.76
Last column: nearest neighbours and their distance in Å.
Positions (direct):
O  0.8413  0.9521  0.3652  3 V 1.84-2.04
O  0.1656  0.3018  0.3672  3 V 1.95-1.97
O  0.5327  0.6327  0.3021  3 V 1.95-1.97
O  0.4673  0.3673  0.6979  3 V 1.95-1.97
O  0.7931  0.3657  0.0481  3 V 1.84-2.04
O  0.8344  0.6983  0.6328  3 V 1.95-1.97
O  0.1587  0.0479  0.6348  3 V 1.84-2.04
O  0.2069  0.6343  0.9519  3 V 1.84-2.04
V  0.6629  0.1797  0.4947  6 O 1.84-2.04
V  0.8427  0.4947  0.8198  6 O 1.84-2.04
V  0.3371  0.8203  0.5053  6 O 1.84-2.04
V  0.1573  0.5053  0.1802  6 O 1.84-2.04

VASP energy   -0.569 Ry per atom
Volume   151.51 Å³ per cell
E_form   -2.44 eV/atom
SG   C2/m (12)



(6)
# VO2

A geometry-optimized VO2 structure (PBE with a Hubbard U, the Materials Project database).

a b c (Å): 5.3655 5.4169 7.2392
angles (deg): 82.60 109.86 117.01
Last column: nearest neighbours and their distance in Å.
Positions (direct):
O  0.3824  0.7890  0.0916  3 V 1.90-1.99
O  0.8084  0.6889  0.2854  3 V 1.90-1.99
O  0.9420  0.2599  0.3072  2 V 1.84-1.88
O  0.0580  0.7401  0.6928  2 V 1.84-1.88
O  0.5894  0.3177  0.5135  3 V 1.92-2.00
O  0.4106  0.6823  0.4865  3 V 1.92-2.00
O  0.2200  0.2068  0.1047  2 V 1.80-2.01
O  0.7800  0.7932  0.8953  2 V 1.80-2.01
O  0.1916  0.3111  0.7146  3 V 1.90-1.99
O  0.6176  0.2110  0.9084  3 V 1.90-1.99
V  0.7873  0.9984  0.1107  5 O 1.84-2.01
V  0.4098  0.4922  0.2796  5 O 1.80-2.00
V  0.0000  0.5000  0.5000  6 O 1.88-2.00
V  0.5902  0.5078  0.7204  5 O 1.80-2.00
V  0.2127  0.0016  0.8893  5 O 1.84-2.01

VASP energy   -0.568 Ry per atom
Volume   176.21 Å³ per cell
E_form   -2.43 eV/atom
SG   P-1 (2)